Below is an optimized crystal structure of ZrNbTc2, with properties calculated at the PBE level.

## Properties
formation energy	-1.47	eV/f.u.
calculated volume	68.2	Å³/f.u.

Cell and atoms, written as CIF:
```
data_ZrNbTc2
_cell_length_a 6.4857
_cell_length_b 6.4857
_cell_length_c 6.4857
_cell_angle_alpha 90.00
_cell_angle_beta 90.00
_cell_angle_gamma 90.00
_space_group_name_H-M_alt 'F m -3 m'
_space_group_IT_number 225
_space_group_name_Hall '-F 4 2 3'
loop_
_atom_site_label
_atom_site_type_symbol
_atom_site_fract_x
_atom_site_fract_y
_atom_site_fract_z
Zr1 Zr 0.0000 0.0000 0.0000
Nb1 Nb 0.0000 0.0000 0.5000
Tc1 Tc 0.2500 0.2500 0.2500
```

***

Below is an optimized crystal structure of Nb3Te, with properties calculated at the PBE level.

## Properties
corrected total energy (MP2020 scheme)	-69.00	eV/cell
formation energy	-1.05	eV/f.u.
calculated volume	74.6	Å³/f.u.

Cell and atoms, written as CIF:
```
data_Nb3Te
_cell_length_a 5.3029
_cell_length_b 5.3029
_cell_length_c 5.3029
_cell_angle_alpha 90.00
_cell_angle_beta 90.00
_cell_angle_gamma 90.00
_space_group_name_H-M_alt 'P m -3 n'
_space_group_IT_number 223
_space_group_name_Hall '-P 4n 2 3'
loop_
_atom_site_label
_atom_site_type_symbol
_atom_site_fract_x
_atom_site_fract_y
_atom_site_fract_z
Nb1 Nb 0.0000 0.2500 0.5000
Te1 Te 0.0000 0.0000 0.0000
```

***

Below is an optimized crystal structure of NbTe, with properties calculated at the PBE level.

## Properties
magnetic moment	0.00	μB per formula unit
corrected total energy (MP2020 scheme)	-13.94	eV/cell
formation energy	-0.69	eV/f.u.
calculated volume	43.9	Å³/f.u.

Cell and atoms, written as CIF:
```
data_NbTe
_cell_length_a 3.7030
_cell_length_b 3.7030
_cell_length_c 3.6942
_cell_angle_alpha 90.00
_cell_angle_beta 90.00
_cell_angle_gamma 120.00
_space_group_name_H-M_alt 'P -6 m 2'
_space_group_IT_number 187
_space_group_name_Hall 'P -6 2'
loop_
_atom_site_label
_atom_site_type_symbol
_atom_site_fract_x
_atom_site_fract_y
_atom_site_fract_z
Nb1 Nb 0.0000 0.0000 0.0000
Te1 Te 0.6667 0.3333 0.5000
```

***

Below is an optimized crystal structure of NbTe2, with properties calculated at the PBE level.

## Properties
corrected total energy (MP2020 scheme)	-111.69	eV/cell
formation energy	-2.23	eV/f.u.
calculated volume	81.5	Å³/f.u.

Cell and atoms, written as CIF:
```
data_NbTe2
_cell_length_a 14.9524
_cell_length_b 3.6714
_cell_length_c 9.5480
_cell_angle_alpha 90.00
_cell_angle_beta 111.14
_cell_angle_gamma 90.00
_space_group_name_H-M_alt 'C 1 2/m 1'
_space_group_IT_number 12
loop_
_space_group_symop_operation_xyz
'x,y,z'
'-x,-y,-z'
'-x,y,-z'
'x,-y,z'
'x+1/2,y+1/2,z'
'-x+1/2,-y+1/2,-z'
'-x+1/2,y+1/2,-z'
'x+1/2,-y+1/2,z'
loop_
_atom_site_label
_atom_site_type_symbol
_atom_site_fract_x
_atom_site_fract_y
_atom_site_fract_z
Nb1 Nb 0.0000 0.0000 0.0000
Nb2 Nb 0.1377 0.5000 0.2880
Te1 Te 0.0052 0.0000 0.3082
Te2 Te 0.1480 0.5000 0.0110
Te3 Te 0.2044 0.5000 0.6177
```

***

Below is an optimized crystal structure of Nb7Te6, with properties calculated at the PBE level.

## Properties
magnetic moment	0.00	μB per formula unit
corrected total energy (MP2020 scheme)	-387.75	eV/cell
formation energy	-7.37	eV/f.u.
calculated volume	303.4	Å³/f.u.

Cell and atoms, written as CIF:
```
data_Nb7Te6
_cell_length_a 10.2767
_cell_length_b 10.9532
_cell_length_c 11.5045
_cell_angle_alpha 110.39
_cell_angle_beta 90.16
_cell_angle_gamma 90.88
_space_group_name_H-M_alt 'P -1'
_space_group_IT_number 2
loop_
_space_group_symop_operation_xyz
'x,y,z'
'-x,-y,-z'
loop_
_atom_site_label
_atom_site_type_symbol
_atom_site_fract_x
_atom_site_fract_y
_atom_site_fract_z
Nb1 Nb 0.0597 0.3674 0.2043
Nb2 Nb 0.0674 0.3780 0.8805
Nb3 Nb 0.0715 0.3717 0.5359
Nb4 Nb 0.1330 0.0667 0.1030
Nb5 Nb 0.1386 0.0732 0.7837
Nb6 Nb 0.1400 0.0737 0.4339
Nb7 Nb 0.2473 0.2508 0.3230
Nb8 Nb 0.2473 0.2537 0.0109
Nb9 Nb 0.2491 0.2468 0.6687
Nb10 Nb 0.3514 0.4205 0.5561
Nb11 Nb 0.3544 0.4252 0.8943
Nb12 Nb 0.4290 0.1370 0.4594
Nb13 Nb 0.4310 0.1318 0.8030
Nb14 Nb 0.4366 0.1291 0.1215
Te1 Te 0.0296 0.8102 0.3532
Te2 Te 0.0371 0.8080 0.0221
Te3 Te 0.0375 0.8111 0.6869
Te4 Te 0.1904 0.5395 0.7628
Te5 Te 0.1948 0.5349 0.4195
Te6 Te 0.1971 0.5372 0.1058
Te7 Te 0.3082 0.9556 0.9036
Te8 Te 0.3104 0.9637 0.5719
Te9 Te 0.3108 0.9597 0.2344
Te10 Te 0.4691 0.6819 0.3080
Te11 Te 0.4741 0.6826 0.9741
Te12 Te 0.4759 0.6834 0.6481
```

***

Below is an optimized crystal structure of NbTe2, with properties calculated at the PBE level.

## Properties
corrected total energy (MP2020 scheme)	-18.51	eV/cell
formation energy	-2.12	eV/f.u.
calculated volume	85.0	Å³/f.u.

Cell and atoms, written as CIF:
```
data_NbTe2
_cell_length_a 3.6930
_cell_length_b 3.6930
_cell_length_c 7.1933
_cell_angle_alpha 90.00
_cell_angle_beta 90.00
_cell_angle_gamma 120.00
_space_group_name_H-M_alt 'P -3 m 1'
_space_group_IT_number 164
_space_group_name_Hall '-P 3 2"'
loop_
_atom_site_label
_atom_site_type_symbol
_atom_site_fract_x
_atom_site_fract_y
_atom_site_fract_z
Nb1 Nb 0.0000 0.0000 0.0000
Te1 Te 0.3333 0.6667 0.2559
```

***

Below is an optimized crystal structure of Nb12TlTe16, with properties calculated at the PBE level.

## Properties
distance to the lowest polymorph of the same formula	0	meV per atom
corrected total energy (MP2020 scheme)	-387.23	eV/cell
formation energy	-19.75	eV/f.u.
calculated volume	750.0	Å³/f.u.

Cell and atoms, written as CIF:
```
data_Nb12TlTe16
_cell_length_a 21.7243
_cell_length_b 7.3352
_cell_length_c 10.8689
_cell_angle_alpha 90.00
_cell_angle_beta 119.99
_cell_angle_gamma 90.00
_space_group_name_H-M_alt 'C 1 m 1'
_space_group_IT_number 8
loop_
_space_group_symop_operation_xyz
'x,y,z'
'x,-y,z'
'x+1/2,y+1/2,z'
'x+1/2,-y+1/2,z'
loop_
_atom_site_label
_atom_site_type_symbol
_atom_site_fract_x
_atom_site_fract_y
_atom_site_fract_z
Nb1 Nb 0.0002 0.0000 0.9997
Nb2 Nb 0.0000 0.5000 0.0000
Nb3 Nb 0.1424 0.0000 0.8755
Nb4 Nb 0.1437 0.5000 0.8772
Nb5 Nb 0.1943 0.2488 0.4890
Nb6 Nb 0.2045 0.0000 0.2860
Nb7 Nb 0.2053 0.5000 0.2850
Nb8 Nb 0.2552 0.2511 0.8975
Nb9 Nb 0.3988 0.2499 0.7759
Tl1 Tl 0.4494 0.0000 0.3874
Te1 Te 0.0857 0.0000 0.3228
Te2 Te 0.0867 0.5000 0.3222
Te3 Te 0.1161 0.2501 0.0540
Te4 Te 0.1178 0.2498 0.6595
Te5 Te 0.2794 0.0000 0.1127
Te6 Te 0.2808 0.5000 0.1150
Te7 Te 0.2827 0.0000 0.7208
Te8 Te 0.2827 0.5000 0.7206
Te9 Te 0.3133 0.2502 0.4517
Te10 Te 0.4173 0.2505 0.0507
Te11 Te 0.4818 0.0000 0.7265
Te12 Te 0.4816 0.5000 0.7250
```

***

Below is an optimized crystal structure of Nb12TlTe16, with properties calculated at the PBE level.

## Properties
distance to the lowest polymorph of the same formula	6	meV per atom
magnetic moment	0.00	μB per formula unit
corrected total energy (MP2020 scheme)	-386.90	eV/cell
formation energy	-19.58	eV/f.u.
calculated volume	744.1	Å³/f.u.

Cell and atoms, written as CIF:
```
data_Nb12TlTe16
_cell_length_a 10.8299
_cell_length_b 10.8299
_cell_length_c 14.6519
_cell_angle_alpha 90.00
_cell_angle_beta 90.00
_cell_angle_gamma 120.00
_space_group_name_H-M_alt 'P -6'
_space_group_IT_number 174
loop_
_space_group_symop_operation_xyz
'x,y,z'
'-x+y,-x,-z'
'-y,x-y,z'
'x,y,-z'
'-x+y,-x,z'
'-y,x-y,-z'
loop_
_atom_site_label
_atom_site_type_symbol
_atom_site_fract_x
_atom_site_fract_y
_atom_site_fract_z
Nb1 Nb 0.0555 0.2316 0.0000
Nb2 Nb 0.0564 0.2319 0.2492
Nb3 Nb 0.0577 0.2319 0.5000
Nb4 Nb 0.1522 0.7176 0.3750
Nb5 Nb 0.1538 0.7185 0.1244
Tl1 Tl 0.6667 0.3333 0.3662
Te1 Te 0.0000 0.0000 0.1253
Te2 Te 0.0000 0.0000 0.3753
Te3 Te 0.0074 0.3995 0.1246
Te4 Te 0.0090 0.3990 0.3750
Te5 Te 0.3294 0.2668 0.0000
Te6 Te 0.3308 0.2671 0.2489
Te7 Te 0.3333 0.6667 0.0000
Te8 Te 0.3333 0.6667 0.2507
Te9 Te 0.3333 0.6667 0.5000
Te10 Te 0.3336 0.2671 0.5000
```

***

Below is an optimized crystal structure of Nb6TlTe8, with properties calculated at the PBE level.

## Properties
magnetic moment	0.01	μB per formula unit
corrected total energy (MP2020 scheme)	-97.85	eV/cell
formation energy	-9.74	eV/f.u.
calculated volume	375.3	Å³/f.u.

Cell and atoms, written as CIF:
```
data_Nb6TlTe8
_cell_length_a 10.8465
_cell_length_b 10.8465
_cell_length_c 3.6836
_cell_angle_alpha 90.00
_cell_angle_beta 90.00
_cell_angle_gamma 120.00
_space_group_name_H-M_alt 'P -3'
_space_group_IT_number 147
loop_
_space_group_symop_operation_xyz
'x,y,z'
'-x,-y,-z'
'-y,x-y,z'
'y,-x+y,-z'
'-x+y,-x,z'
'x-y,x,-z'
loop_
_atom_site_label
_atom_site_type_symbol
_atom_site_fract_x
_atom_site_fract_y
_atom_site_fract_z
Nb1 Nb 0.1013 0.6128 0.2503
Tl1 Tl 0.0000 0.0000 0.5000
Te1 Te 0.0639 0.3370 0.2481
Te2 Te 0.3333 0.6667 0.7498
```

***

Below is an optimized crystal structure of Nb6ZnTe8, with properties calculated at the PBE level.

## Properties
magnetic moment	0.00	μB per formula unit
corrected total energy (MP2020 scheme)	-96.09	eV/cell
formation energy	-9.08	eV/f.u.
calculated volume	369.9	Å³/f.u.

Cell and atoms, written as CIF:
```
data_Nb6ZnTe8
_cell_length_a 10.7966
_cell_length_b 10.7966
_cell_length_c 3.6641
_cell_angle_alpha 90.00
_cell_angle_beta 90.00
_cell_angle_gamma 120.00
_space_group_name_H-M_alt 'P -3'
_space_group_IT_number 147
loop_
_space_group_symop_operation_xyz
'x,y,z'
'-x,-y,-z'
'-y,x-y,z'
'y,-x+y,-z'
'-x+y,-x,z'
'x-y,x,-z'
loop_
_atom_site_label
_atom_site_type_symbol
_atom_site_fract_x
_atom_site_fract_y
_atom_site_fract_z
Nb1 Nb 0.1029 0.4889 0.2500
Zn1 Zn 0.0000 0.0000 0.0000
Te1 Te 0.0638 0.7284 0.2501
Te2 Te 0.3333 0.6667 0.7502
```

***

Below is an optimized crystal structure of Th3Nb, with properties calculated at the PBE level.

## Properties
magnetic moment	0.00	μB per formula unit
formation energy	1.05	eV/f.u.
calculated volume	114.4	Å³/f.u.

Cell and atoms, written as CIF:
```
data_Th3Nb
_cell_length_a 6.7374
_cell_length_b 6.7374
_cell_length_c 5.8212
_cell_angle_alpha 90.00
_cell_angle_beta 90.00
_cell_angle_gamma 120.00
_space_group_name_H-M_alt 'P 63/m m c'
_space_group_IT_number 194
_space_group_name_Hall '-P 6c 2c'
loop_
_atom_site_label
_atom_site_type_symbol
_atom_site_fract_x
_atom_site_fract_y
_atom_site_fract_z
Th1 Th 0.1754 0.3508 0.2500
Nb1 Nb 0.3333 0.6667 0.7500
```

***

Below is an optimized crystal structure of ZrTiNb, with properties calculated at the PBE level.

## Properties
magnetic moment	0.04	μB per formula unit
formation energy	0.30	eV/f.u.
calculated volume	58.7	Å³/f.u.

Cell and atoms, written as CIF:
```
data_ZrTiNb
_cell_length_a 3.4532
_cell_length_b 4.6910
_cell_length_c 14.4869
_cell_angle_alpha 90.00
_cell_angle_beta 90.00
_cell_angle_gamma 90.00
_space_group_name_H-M_alt 'F m m 2'
_space_group_IT_number 42
_space_group_name_Hall 'F 2 -2'
loop_
_atom_site_label
_atom_site_type_symbol
_atom_site_fract_x
_atom_site_fract_y
_atom_site_fract_z
Zr1 Zr 0.0000 0.0000 0.0000
Ti1 Ti 0.0000 0.0000 0.3234
Nb1 Nb 0.0000 0.0000 0.6744
```